Below is a relaxed CsI2Br crystal, with properties calculated at the PBE level.

```
16
Lattice="-1.4225 2.8080 -6.2211 1.2174 -9.0201 -4.3498 -10.7307 -2.1611 1.4782" Properties=species:S:1:pos:R:3 pbc="T T T"
Br -7.1649 -7.2128 -7.4776
Br -2.0996 -3.9092 -7.1448
Br -3.7709 -1.1604 -1.6150
Br -8.8362 -4.4640 -1.9479
Cs -1.6017 -3.7228 -3.2676
Cs -7.4552 -1.1866 -0.7843
Cs -9.3341 -4.6504 -5.8250
Cs -3.4806 -7.1866 -8.3083
I -1.5287 -0.1279 -5.5685
I -6.4679 -5.6484 -3.0240
I -6.8480 -1.5500 -4.9941
I -4.0878 -6.8232 -4.0985
I -9.4071 -8.2453 -3.5241
I -4.4679 -2.7248 -6.0686
I -10.3141 -0.2431 -3.6116
I -0.6217 -8.1301 -5.4810
```

DFT formation energy ... -1.059 eV/atom
E (MP2020) ... -39.26 eV/cell


Below is a relaxed BaYBr5 crystal, with properties calculated at the PBE level.

```
14
Lattice="-4.2970 -2.7742 6.1954 3.5931 -6.4953 3.0732 4.9535 2.4709 9.5731" Properties=species:S:1:pos:R:3 pbc="T T T"
Br 6.6950 -4.3529 10.4957
Br 0.6915 -2.7090 10.4443
Br -2.4453 -2.4457 8.3460
Br -0.1094 -6.7443 8.3482
Br 3.5581 -4.0897 8.3974
Br 1.5455 -1.1310 5.8402
Br 1.3530 -5.4245 4.4158
Br 2.7041 -5.6677 13.0015
Br 4.3590 -0.0544 10.4935
Br 2.8966 -1.3742 14.4258
Y 0.0000 0.0000 0.0000
Y 2.4768 1.2354 4.7865
Ba 0.4435 -3.8082 7.2029
Ba 3.8061 -2.9905 11.6388
```

DFT formation energy ... -2.373 eV/atom
E (MP2020) ... -66.36 eV/cell


Below is a relaxed Mg14CrSi crystal, with properties calculated at the PBE level.

```
16
Lattice="-4.8826 -2.4040 3.0618 5.3629 0.9915 3.0018 -3.1079 9.4208 2.4406" Properties=species:S:1:pos:R:3 pbc="T T T"
Mg -0.9701 5.8166 3.0394
Mg -1.8556 -0.0987 3.3634
Mg -3.2274 6.9114 6.7105
Mg 0.8127 0.3946 4.8570
Mg -4.3372 1.6489 3.9762
Mg -5.9161 6.4351 5.2162
Mg -3.4699 7.7060 3.6620
Mg -0.7953 8.2005 5.1591
Mg 1.7096 6.3108 4.5440
Mg -0.7231 5.1141 6.0654
Mg 0.8180 3.3101 3.8921
Mg -3.4109 4.6172 4.5610
Mg -1.8566 2.8156 2.3950
Mg -1.6616 2.1653 5.4809
Si 0.5923 1.1135 1.8016
Cr 3.2700 1.6060 3.3102
```

DFT formation energy ... 0.085 eV/atom
E (MP2020) ... -36.12 eV/cell


Below is a relaxed Na3B5H2O10 crystal, with properties calculated at the PBE level.

```
80
Lattice="-5.4474 2.5249 1.0691 -4.7047 -10.1964 0.1093 1.8505 -0.7342 11.1629" Properties=species:S:1:pos:R:3 pbc="T T T"
O -4.4822 -3.7498 0.9673
O -6.8326 -4.2650 9.9309
O -0.1359 -1.2517 2.3793
O -5.9009 -9.1673 11.4223
O -7.5559 -7.3129 6.1560
O -8.2476 -7.3124 9.9983
O -6.0474 -2.1539 9.0257
O -0.1303 -0.9813 5.8081
O -1.5870 -6.4349 11.2656
O -5.2019 1.3076 1.0404
O -2.3468 -6.4060 3.2875
O -6.0085 -1.8954 1.2459
O -3.7367 -9.4650 3.3500
O -3.2325 0.7020 7.0563
O -6.2708 -3.9615 2.5324
O -4.8895 -4.6721 11.3058
O -6.6585 -4.1459 6.4980
O -6.7536 -6.1375 11.4578
O -4.3225 -3.7620 6.6990
O -4.6218 0.8893 9.0228
O -3.3748 -5.4359 5.2455
O -6.0606 -9.1550 5.6906
O -5.0771 -0.7711 7.3259
O -2.1702 -4.6372 9.7823
O -4.8724 -9.5965 7.7259
O -5.8451 -6.5535 2.8456
O -0.2093 -0.4967 9.7665
O -2.9235 -5.4513 7.6385
O -4.9962 -6.8853 8.4420
O -3.5567 0.9931 4.6605
O -3.3006 -7.7997 5.0171
O -2.4601 -1.8600 9.4957
O -3.5019 -9.1303 11.1234
O -3.3090 -1.5283 3.8993
O -8.1483 -8.1398 2.6058
O -1.5366 -4.3065 2.3773
O -1.9545 -3.7127 6.2133
O -5.4461 -3.1805 4.6622
O -1.6242 -2.4334 0.8852
O -1.7179 -0.0618 0.9961
B -4.6107 0.6328 7.5826
B -3.1229 -4.6390 6.4307
B 0.5851 -0.3369 8.5519
B -7.5042 -8.8066 5.9646
B -2.5374 -6.5385 4.7318
B -5.9295 -3.3999 1.2185
B -4.2921 1.8620 3.7461
B -8.4980 -6.5172 5.5331
B -0.7833 -1.2030 1.0685
B -6.6549 -3.2320 3.7375
B -0.5468 0.2146 6.3470
B -5.4828 -3.6964 5.9415
B -2.1292 -5.1891 11.0463
B -0.7327 -3.9022 6.8297
B -6.3648 -4.7027 11.2460
B -4.6975 -10.0458 11.1768
B -2.5473 -9.2137 10.1283
B -3.9005 1.7073 1.2421
B -6.6834 -1.2057 2.2345
B -1.7777 -5.4309 8.5433
Na -3.8242 -4.4510 3.1496
Na -1.4490 0.6381 3.2328
Na -4.6891 -7.0694 11.0716
Na -5.3407 -6.8291 5.4364
Na -3.7157 -7.5445 1.7178
Na -2.1746 1.0361 9.1382
Na -0.9517 -2.6097 4.1470
Na -4.5498 -4.0530 9.0550
Na -4.5867 -0.8631 10.6235
Na -7.3508 -5.7979 8.1942
Na -3.0182 -1.7008 6.9061
Na -3.6698 -1.4606 1.2710
H -1.5797 -1.3654 9.6144
H -4.1208 -2.0173 4.1897
H -6.7173 -7.0186 2.7716
H -4.8437 -7.8253 8.1669
H -4.1903 -6.3611 8.1108
H -6.0412 -5.5649 2.7110
H -3.4305 -0.5692 4.2146
H -2.2472 -2.8239 9.5850
```

DFT formation energy ... -2.505 eV/atom
E (MP2020) ... -574.91 eV/cell


Below is a relaxed YNbO4 crystal, with properties calculated at the PBE level.

```
12
Lattice="2.9975 -5.4360 -2.3291 3.8675 3.8738 3.7410 2.2148 -2.6890 3.8068" Properties=species:S:1:pos:R:3 pbc="T T T"
O 4.0453 0.3925 4.7492
O 6.6461 -0.5942 5.8898
O 6.7315 -2.7535 3.9276
O 5.0346 -4.6436 0.4695
O 3.5126 -2.2335 3.5913
O 5.5673 -2.0177 1.6274
O 2.4338 -3.6570 -0.6711
O 2.3483 -1.4976 1.2911
Y 4.0976 -0.2614 2.4348
Y 4.9822 -3.9897 2.7839
Nb 5.4340 0.8444 5.9358
Nb 3.6459 -5.0956 -0.7171
```

DFT formation energy ... -3.551 eV/atom
E (MP2020) ... -115.33 eV/cell


Below is a relaxed KGa crystal, with properties calculated at the PBE level.

```
8
Lattice="-3.2650 3.0271 -0.8267 -4.7302 -4.8654 0.8662 -0.4300 2.0696 9.2767" Properties=species:S:1:pos:R:3 pbc="T T T"
Ga -2.9795 2.9228 3.8657
Ga -4.9084 2.1947 8.8179
Ga -3.5168 -1.9635 0.4983
Ga -5.4457 -2.6916 5.4505
K -6.9679 -0.3113 7.7753
K -2.9077 0.3066 6.4054
K -1.4573 0.5425 1.5409
K -5.5175 -0.0754 2.9108
```

DFT formation energy ... -0.049 eV/atom


> Number 1 is which compound?

CsI2Br


What did the first record say?
Below is a relaxed CsI2Br crystal, with properties calculated at the PBE level.

```
16
Lattice="-1.4225 2.8080 -6.2211 1.2174 -9.0201 -4.3498 -10.7307 -2.1611 1.4782" Properties=species:S:1:pos:R:3 pbc="T T T"
Br -7.1649 -7.2128 -7.4776
Br -2.0996 -3.9092 -7.1448
Br -3.7709 -1.1604 -1.6150
Br -8.8362 -4.4640 -1.9479
Cs -1.6017 -3.7228 -3.2676
Cs -7.4552 -1.1866 -0.7843
Cs -9.3341 -4.6504 -5.8250
Cs -3.4806 -7.1866 -8.3083
I -1.5287 -0.1279 -5.5685
I -6.4679 -5.6484 -3.0240
I -6.8480 -1.5500 -4.9941
I -4.0878 -6.8232 -4.0985
I -9.4071 -8.2453 -3.5241
I -4.4679 -2.7248 -6.0686
I -10.3141 -0.2431 -3.6116
I -0.6217 -8.1301 -5.4810
```

DFT formation energy ... -1.059 eV/atom
E (MP2020) ... -39.26 eV/cell


> Which of these has the lowest DFT formation energy?

YNbO4